The following is a r2SCAN calculation of a relaxed LiGd2Ir crystal, from the Materials Project.

Geometry as CIF:
```
data_LiGd2Ir
_symmetry_space_group_name_H-M 'I m m m'
_symmetry_Int_Tables_number 71
_symmetry_space_group_name_Hall '-I 2 2'
_cell_length_a 4.938
_cell_length_b 4.963
_cell_length_c 7.001
_cell_angle_alpha 90.00
_cell_angle_beta 90.00
_cell_angle_gamma 90.00
loop_
_atom_site_label
_atom_site_type_symbol
_atom_site_fract_x
_atom_site_fract_y
_atom_site_fract_z
Li1 Li 0.000 0.000 0.000
Gd1 Gd 0.000 0.500 0.249
Ir1 Ir 0.000 0.000 0.500
```

E_form = -0.52 eV/atom